Compound: BaLuCo4O7
Source: Materials Project
Functional: PBE with a Hubbard U
Structure: relaxed

Cell lengths 6.3054, 10.9932, 10.3118 Å; angles 90.00, 90.40, 90.00 degrees
Space group Cc (No. 9)
Asymmetric unit:
Ba1 0.0000 0.1683 0.0000 (multiplicity 4)
Lu1 0.0055 0.1683 0.3756 (multiplicity 4)
Co1 0.0025 0.4989 0.9395 (multiplicity 4)
Co2 0.0137 0.3293 0.6818 (multiplicity 4)
Co3 0.2406 0.0806 0.6854 (multiplicity 4)
Co4 0.2528 0.4062 0.1850 (multiplicity 4)
O1 0.0019 0.0051 0.2432 (multiplicity 4)
O2 0.0458 0.3321 0.4947 (multiplicity 4)
O3 0.2227 0.0593 0.5031 (multiplicity 4)
O4 0.2293 0.3876 0.9951 (multiplicity 4)
O5 0.2694 0.2446 0.2626 (multiplicity 4)
O6 0.2769 0.2408 0.7402 (multiplicity 4)
O7 0.4984 0.0018 0.7448 (multiplicity 4)

Results
For the calculated formation energy, the calculation gives -2.099 eV/atom.

***

Compound: BaLuCo4O7
Source: Materials Project
Functional: PBE with a Hubbard U
Structure: relaxed

Cell lengths 10.9956, 6.3100, 10.2839 Å; angles 90.00, 90.00, 90.00 degrees
Space group Pna2_1 (No. 33)
Asymmetric unit:
Ba1 0.1638 0.0066 0.0000 (multiplicity 4)
Lu1 0.1699 0.9972 0.6249 (multiplicity 4)
Co1 0.0007 0.4995 0.0584 (multiplicity 4)
Co2 0.0830 0.2423 0.3176 (multiplicity 4)
Co3 0.0891 0.7547 0.3129 (multiplicity 4)
Co4 0.1727 0.5015 0.8148 (multiplicity 4)
O1 0.0011 0.4930 0.2541 (multiplicity 4)
O2 0.0064 0.9899 0.7568 (multiplicity 4)
O3 0.0658 0.2237 0.5005 (multiplicity 4)
O4 0.1004 0.7362 0.5028 (multiplicity 4)
O5 0.1687 0.4543 0.0021 (multiplicity 4)
O6 0.2444 0.7752 0.2188 (multiplicity 4)
O7 0.2473 0.2812 0.2765 (multiplicity 4)

Results
For the calculated formation energy, the calculation gives -2.101 eV/atom.

***

Compound: BaLuCo4O7
Source: Materials Project
Functional: PBE with a Hubbard U
Structure: relaxed

Cell lengths 6.3394, 6.3394, 10.3275 Å; angles 90.00, 90.00, 120.00 degrees
Space group P6_3mc (No. 186)
Asymmetric unit:
Ba1 0.3333 0.6667 0.0000 (multiplicity 2)
Lu1 0.3333 0.6667 0.3934 (multiplicity 2)
Co1 0.0000 0.0000 0.4581 (multiplicity 2)
Co2 0.1701 0.3403 0.7029 (multiplicity 6)
O1 0.0000 0.0000 0.2583 (multiplicity 2)
O2 0.0106 0.5053 0.7764 (multiplicity 6)
O3 0.1696 0.3393 0.5168 (multiplicity 6)

Results
For the calculated formation energy, the calculation gives -2.081 eV/atom.

***

Number 1: ρ 6.1 g/cm3. Number 2: ρ 6.1 g/cm3. Number 3: ρ 6.1 g/cm3.